CoCl2O2 | GGA+U | optimized geometry

Values from the calculation:
* symmetry: C2/m
* total DFT energy (no corrections): -3.5747 eV per atom
* DFT formation energy: -0.037 eV per atom

abc: 5.3145 5.3145 3.4831
angles: 85.34 85.34 95.28
With the nearest neighbours (Å) after each atom.
Atoms (fractional coordinates):
1 Cl 0.7655 0.7655 0.5721  2 Co 2.38-2.45
2 Cl 0.2345 0.2345 0.4279  2 Co 2.38-2.45
3 Co 0.0000 0.0000 0.0000  2 O 1.63
4 O 0.7918 0.2082 0.0000  1 Co 1.63
5 O 0.2082 0.7918 0.0000  1 Co 1.63

Co2PClO4 | GGA+U | optimized geometry

Values from the calculation:
* symmetry: C2/c
* total DFT energy (no corrections): -6.2946 eV per atom
* DFT formation energy: -1.889 eV per atom

abc: 8.2275 8.2275 9.3175
angles: 55.60 55.60 67.93
With the nearest neighbours (Å) after each atom.
Atoms (fractional coordinates):
1 Co 0.2740 0.7260 0.7500  4 O 2.08-2.21
2 Co 0.9260 0.4411 0.3257  3 O 1.95-2.07
3 Co 0.0000 0.0000 0.0000  4 O 2.03-2.16
4 Co 0.7260 0.2740 0.2500  4 O 2.08-2.21
5 Co 0.5589 0.0740 0.1743  3 O 1.95-2.07
6 Co 0.4411 0.9260 0.8257  3 O 1.95-2.07
7 Co 0.0740 0.5589 0.6743  3 O 1.95-2.07
8 Co 0.0000 0.0000 0.5000  4 O 2.03-2.16
9 O 0.5511 0.7856 0.6572  1 P 1.57
10 O 0.4489 0.2144 0.3428  1 P 1.57
11 O 0.4058 0.2163 0.0298  1 P 1.50
12 O 0.9205 0.7766 0.5242  1 P 1.56
13 O 0.7766 0.9205 0.0242  1 P 1.56
14 O 0.7789 0.9716 0.2876  1 P 1.59
15 O 0.7856 0.5511 0.1572  1 P 1.57
16 O 0.2144 0.4489 0.8428  1 P 1.57
17 O 0.0795 0.2234 0.4758  1 P 1.56
18 O 0.2234 0.0795 0.9758  1 P 1.56
19 O 0.7837 0.5942 0.4702  1 P 1.50
20 O 0.2211 0.0284 0.7124  1 P 1.59
21 O 0.5942 0.7837 0.9702  1 P 1.50
22 O 0.0284 0.2211 0.2124  1 P 1.59
23 O 0.9716 0.7789 0.7876  1 P 1.59
24 O 0.2163 0.4058 0.5298  1 P 1.50
25 Cl 0.3389 0.8097 0.4259  4 Co 2.43-2.58
26 Cl 0.6611 0.1903 0.5741  4 Co 2.43-2.58
27 Cl 0.1903 0.6611 0.0741  4 Co 2.43-2.58
28 Cl 0.8097 0.3389 0.9259  4 Co 2.43-2.58
29 P 0.7753 0.7593 0.9854  4 O 1.50-1.59
30 P 0.2247 0.2407 0.0146  4 O 1.50-1.59
31 P 0.2407 0.2247 0.5146  4 O 1.50-1.59
32 P 0.7593 0.7753 0.4854  4 O 1.50-1.59